A plane-wave DFT calculation with GGA-PBE was carried out for an optimized crystal structure of NdEu2SbO6.

Cell and atoms, written as POSCAR:
```
NdEu2SbO6
1.0
0.000 4.283 4.283
4.283 0.000 4.283
4.283 4.283 0.000
Nd Eu Sb O
1 2 1 6
direct
0.000 0.000 0.000
0.250 0.250 0.250
0.750 0.750 0.750
0.500 0.500 0.500
0.267 0.267 0.733
0.267 0.733 0.267
0.267 0.733 0.733
0.733 0.267 0.267
0.733 0.267 0.733
0.733 0.733 0.267
```

Its total energy is -8.381 eV/atom. The calculation puts the MP2020-corrected energy at -8.79 eV/atom. The formation energy is -2.88 eV per atom. The symmetry is Fm-3m (225).